Entry 1:
## NaGdH2S2O9 (PBE)

Data for a relaxed structure of NaGdH2S2O9.

Unit cell a=7.024 b=7.024 c=12.867 alpha=90.00 beta=90.00 gamma=120.00
Fractional coordinates of all 45 atoms:
Na: 0.471 0.471 0.667
Na: 0.529 0.000 0.000
Na: 0.000 0.529 0.333
Gd: 0.559 0.000 0.500
Gd: 0.000 0.559 0.833
Gd: 0.441 0.441 0.167
H: 0.035 0.098 0.460
H: 0.902 0.937 0.793
H: 0.063 0.965 0.126
H: 0.965 0.063 0.207
H: 0.937 0.902 0.540
H: 0.098 0.035 0.874
S: 0.557 0.013 0.741
S: 0.987 0.543 0.074
S: 0.457 0.443 0.408
S: 0.443 0.457 0.926
S: 0.543 0.987 0.259
S: 0.013 0.557 0.592
O: 0.753 0.169 0.802
O: 0.831 0.584 0.136
O: 0.416 0.247 0.469
O: 0.247 0.416 0.864
O: 0.584 0.831 0.198
O: 0.169 0.753 0.531
O: 0.380 0.875 0.816
O: 0.125 0.504 0.149
O: 0.496 0.620 0.482
O: 0.620 0.496 0.851
O: 0.504 0.125 0.184
O: 0.875 0.380 0.518
O: 0.614 0.875 0.673
O: 0.125 0.739 0.006
O: 0.261 0.386 0.340
O: 0.386 0.261 0.994
O: 0.739 0.125 0.327
O: 0.875 0.614 0.660
O: 0.488 0.132 0.667
O: 0.868 0.356 0.000
O: 0.644 0.512 0.334
O: 0.512 0.644 0.000
O: 0.356 0.868 0.333
O: 0.132 0.488 0.666
O: 0.904 0.000 0.500
O: 0.000 0.904 0.833
O: 0.096 0.096 0.167

Calculated values
For the total magnetic moment, the calculation gives 7.0 μB per formula unit. The energy of formation from the pure elements is -218.5 kJ per mole of atoms. The symmetry is P3_121 (152).



Entry 2:
## NaGdH2S2O9 (PBE)

Data for a relaxed structure of NaGdH2S2O9.

Unit cell a=6.990 b=6.990 c=12.877 alpha=90.00 beta=90.00 gamma=120.00
Fractional coordinates of all 45 atoms:
Na: 0.470 0.000 0.167
Na: 0.530 0.530 0.500
Na: 0.000 0.470 0.833
Gd: 0.441 0.000 0.667
Gd: 0.559 0.559 0.000
Gd: 0.000 0.441 0.333
H: 0.062 0.102 0.629
H: 0.898 0.960 0.296
H: 0.938 0.040 0.037
H: 0.960 0.898 0.704
H: 0.102 0.062 0.371
H: 0.040 0.938 0.963
S: 0.556 0.544 0.242
S: 0.988 0.444 0.575
S: 0.544 0.556 0.758
S: 0.456 0.012 0.908
S: 0.444 0.988 0.425
S: 0.012 0.456 0.092
O: 0.587 0.754 0.697
O: 0.413 0.167 0.969
O: 0.167 0.413 0.031
O: 0.754 0.587 0.303
O: 0.486 0.355 0.169
O: 0.739 0.611 0.826
O: 0.246 0.833 0.364
O: 0.645 0.131 0.835
O: 0.621 0.126 0.350
O: 0.869 0.514 0.502
O: 0.495 0.874 0.984
O: 0.094 0.000 0.667
O: 0.128 0.389 0.507
O: 0.833 0.246 0.636
O: 0.872 0.261 0.159
O: 0.514 0.869 0.498
O: 0.505 0.379 0.683
O: 0.906 0.906 0.000
O: 0.874 0.495 0.016
O: 0.611 0.739 0.174
O: 0.379 0.505 0.317
O: 0.000 0.094 0.333
O: 0.355 0.486 0.831
O: 0.131 0.645 0.165
O: 0.126 0.621 0.650
O: 0.261 0.872 0.841
O: 0.389 0.128 0.493

Calculated values
For the total magnetic moment, the calculation gives 7.0 μB per formula unit. The energy of formation from the pure elements is -218.6 kJ per mole of atoms. The symmetry is P3_221 (154).



Entry 3:
## GdH3O3 (PBE)

Data for a relaxed structure of GdH3O3.

Unit cell a=6.390 b=6.390 c=3.636 alpha=90.00 beta=90.00 gamma=120.00
Fractional coordinates of all 14 atoms:
Gd: 0.667 0.333 0.750
Gd: 0.333 0.667 0.250
H: 0.726 0.860 0.750
H: 0.865 0.726 0.250
H: 0.135 0.274 0.750
H: 0.274 0.140 0.250
H: 0.860 0.135 0.250
H: 0.140 0.865 0.750
O: 0.917 0.606 0.250
O: 0.606 0.689 0.750
O: 0.083 0.394 0.750
O: 0.394 0.311 0.250
O: 0.689 0.083 0.250
O: 0.311 0.917 0.750

Calculated values
The energy of formation from the pure elements is -213.3 kJ per mole of atoms. The symmetry is P6_3/m (176).



Entry 4:
## GdHO2 (PBE)

Data for a relaxed structure of GdHO2.

Unit cell a=3.745 b=4.391 c=6.132 alpha=70.72 beta=90.00 gamma=90.00
Fractional coordinates of all 8 atoms:
Gd: 0.250 0.664 0.188
Gd: 0.750 0.336 0.812
H: 0.250 0.022 0.587
H: 0.750 0.978 0.413
O: 0.250 0.235 0.049
O: 0.750 0.765 0.951
O: 0.250 0.251 0.565
O: 0.750 0.749 0.435

Calculated values
The energy of formation from the pure elements is -283.4 kJ per mole of atoms. The symmetry is P2_1/m (11).



Q: Which of these has the highest energy of formation from the pure elements?
A: GdH3O3